Record 1
DFT (PBE) results for an optimized crystal structure of KSnAsO5.

a = 13.7040 Å, b = 6.8205 Å, c = 11.1448 Å
α = 90.00°, β = 90.00°, γ = 90.00°
Positions (direct):
K  0.1121  0.1895  0.0000
K  0.1300  0.7753  0.7369
K  0.3700  0.2753  0.2369
K  0.3879  0.6895  0.5000
K  0.6121  0.3105  0.0000
K  0.6300  0.7247  0.7369
K  0.8700  0.2247  0.2369
K  0.8879  0.8105  0.5000
Sn  0.1260  0.4998  0.4375
Sn  0.2498  0.2539  0.6890
Sn  0.2502  0.7539  0.1890
Sn  0.3740  0.9998  0.9375
Sn  0.6260  0.0002  0.4375
Sn  0.7498  0.2461  0.6890
Sn  0.7502  0.7461  0.1890
Sn  0.8740  0.5002  0.9375
As  0.0023  0.6661  0.1863
As  0.1772  0.0023  0.4401
As  0.3228  0.5023  0.9401
As  0.4977  0.1661  0.6863
As  0.5023  0.8339  0.1863
As  0.6772  0.4977  0.4401
As  0.8228  0.9977  0.9401
As  0.9977  0.3339  0.6863
O  0.0101  0.4949  0.5677
O  0.0109  0.5168  0.3113
O  0.0966  0.1828  0.7094
O  0.0999  0.8080  0.4670
O  0.0996  0.8209  0.1643
O  0.1014  0.1967  0.4121
O  0.2233  0.4748  0.5734
O  0.2328  0.5447  0.3160
O  0.2408  0.4701  0.8249
O  0.2470  0.5233  0.0632
O  0.2530  0.0233  0.5632
O  0.2592  0.9701  0.3249
O  0.2672  0.0447  0.8160
O  0.2767  0.9748  0.0734
O  0.3986  0.6967  0.9121
O  0.4001  0.3080  0.9670
O  0.4004  0.3209  0.6643
O  0.4034  0.6828  0.2094
O  0.4891  0.0168  0.8113
O  0.4899  0.9949  0.0677
O  0.5101  0.0051  0.5677
O  0.5109  0.9832  0.3113
O  0.5966  0.3172  0.7094
O  0.5996  0.6791  0.1643
O  0.5999  0.6920  0.4670
O  0.6014  0.3033  0.4121
O  0.7233  0.0252  0.5734
O  0.7328  0.9553  0.3160
O  0.7408  0.0299  0.8249
O  0.7470  0.9767  0.0632
O  0.7530  0.4767  0.5632
O  0.7592  0.5299  0.3249
O  0.7672  0.4553  0.8160
O  0.7767  0.5252  0.0734
O  0.8986  0.8033  0.9121
O  0.9004  0.1791  0.6643
O  0.9001  0.1920  0.9670
O  0.9034  0.8172  0.2094
O  0.9891  0.4832  0.8113
O  0.9899  0.5051  0.0677

Calculated formation energy (kcal/mol of atoms): -46.8
Total energy (eV/cell): -378.6
Calculated volume (A^3/atom): 16.28

Record 2
DFT (PBE) results for an optimized crystal structure of KTiAsO5.

a = 13.3499 Å, b = 6.6808 Å, c = 10.9263 Å
α = 90.00°, β = 90.00°, γ = 90.00°
Positions (direct):
K  0.1081  0.2022  0.0000
K  0.1247  0.7791  0.7434
K  0.3753  0.2791  0.2434
K  0.3919  0.7022  0.5000
K  0.6081  0.2978  0.0000
K  0.6247  0.7209  0.7434
K  0.8753  0.2209  0.2434
K  0.8919  0.7978  0.5000
Ti  0.1275  0.5068  0.4366
Ti  0.2457  0.7674  0.1849
Ti  0.2543  0.2674  0.6849
Ti  0.3725  0.0068  0.9366
Ti  0.6275  0.9932  0.4366
Ti  0.7457  0.7326  0.1849
Ti  0.7543  0.2326  0.6849
Ti  0.8725  0.4932  0.9366
As  0.0021  0.3318  0.6938
As  0.1806  0.0090  0.4443
As  0.3194  0.5090  0.9443
As  0.4979  0.8318  0.1938
As  0.5021  0.1682  0.6938
As  0.6806  0.4910  0.4443
As  0.8194  0.9910  0.9443
As  0.9979  0.6682  0.1938
O  0.0069  0.5352  0.3289
O  0.0136  0.5025  0.5793
O  0.0996  0.8246  0.1700
O  0.1052  0.2100  0.4141
O  0.1065  0.1823  0.7137
O  0.1076  0.8065  0.4810
O  0.2170  0.5628  0.3221
O  0.2192  0.4521  0.5709
O  0.2391  0.5404  0.0675
O  0.2413  0.4684  0.8213
O  0.2587  0.9684  0.3213
O  0.2609  0.0404  0.5675
O  0.2808  0.9521  0.0709
O  0.2830  0.0628  0.8221
O  0.3924  0.3065  0.9810
O  0.3935  0.6823  0.2137
O  0.3948  0.7100  0.9141
O  0.4004  0.3246  0.6700
O  0.4864  0.0025  0.0793
O  0.4931  0.0352  0.8289
O  0.5069  0.9648  0.3289
O  0.5136  0.9975  0.5793
O  0.5996  0.6754  0.1700
O  0.6052  0.2900  0.4141
O  0.6065  0.3177  0.7137
O  0.6076  0.6935  0.4810
O  0.7170  0.9372  0.3221
O  0.7192  0.0479  0.5709
O  0.7391  0.9596  0.0675
O  0.7413  0.0316  0.8213
O  0.7587  0.5316  0.3213
O  0.7609  0.4596  0.5675
O  0.7808  0.5479  0.0709
O  0.7830  0.4372  0.8221
O  0.8924  0.1935  0.9810
O  0.8935  0.8177  0.2137
O  0.8948  0.7900  0.9141
O  0.9004  0.1754  0.6700
O  0.9864  0.4975  0.0793
O  0.9931  0.4648  0.8289

Calculated formation energy (kcal/mol of atoms): -59.2
Total energy (eV/cell): -444.0
Calculated volume (A^3/atom): 15.23

Record 3
DFT (PBE) results for an optimized crystal structure of K2UAs2O9.

a = 12.7704 Å, b = 13.5112 Å, c = 5.7935 Å
α = 90.00°, β = 90.00°, γ = 90.00°
Positions (direct):
K  0.0787  0.2500  0.0165
K  0.2500  0.5793  0.9955
K  0.2500  0.9207  0.9955
K  0.4213  0.2500  0.0165
K  0.5787  0.7500  0.9835
K  0.7500  0.0793  0.0045
K  0.7500  0.4207  0.0045
K  0.9213  0.7500  0.9835
U  0.0000  0.0000  0.5000
U  0.0000  0.5000  0.5000
U  0.5000  0.0000  0.5000
U  0.5000  0.5000  0.5000
As  0.1214  0.7500  0.5047
As  0.2500  0.1303  0.5216
As  0.2500  0.3697  0.5216
As  0.3786  0.7500  0.5047
As  0.6214  0.2500  0.4953
As  0.7500  0.6303  0.4784
As  0.7500  0.8697  0.4784
As  0.8786  0.2500  0.4953
O  0.0640  0.6489  0.6368
O  0.0640  0.8511  0.6368
O  0.0696  0.5184  0.2287
O  0.0696  0.9816  0.2287
O  0.1257  0.7500  0.2170
O  0.1418  0.0789  0.6540
O  0.1418  0.4211  0.6540
O  0.2500  0.1383  0.2348
O  0.2500  0.2500  0.6622
O  0.2500  0.3617  0.2348
O  0.2500  0.7500  0.6395
O  0.3582  0.0789  0.6540
O  0.3582  0.4211  0.6540
O  0.3743  0.7500  0.2170
O  0.4304  0.5184  0.2287
O  0.4304  0.9816  0.2287
O  0.4360  0.6489  0.6368
O  0.4360  0.8511  0.6368
O  0.5640  0.1489  0.3632
O  0.5640  0.3511  0.3632
O  0.5696  0.0184  0.7713
O  0.5696  0.4816  0.7713
O  0.6257  0.2500  0.7830
O  0.6418  0.5789  0.3460
O  0.6418  0.9211  0.3460
O  0.7500  0.2500  0.3605
O  0.7500  0.6383  0.7652
O  0.7500  0.7500  0.3378
O  0.7500  0.8617  0.7652
O  0.8582  0.5789  0.3460
O  0.8582  0.9211  0.3460
O  0.8743  0.2500  0.7830
O  0.9304  0.0184  0.7713
O  0.9304  0.4816  0.7713
O  0.9360  0.1489  0.3632
O  0.9360  0.3511  0.3632

Calculated formation energy (kcal/mol of atoms): -56.6
Total energy (eV/cell): -382.2
Calculated volume (A^3/atom): 17.85

Record 4
DFT (PBE) results for an optimized crystal structure of K3Zn4As3O17.

a = 11.1039 Å, b = 11.1039 Å, c = 11.1039 Å
α = 120.68°, β = 120.31°, γ = 89.15°
Positions (direct):
K  0.0000  0.0000  0.0000
K  0.0012  0.5501  0.0045
K  0.0455  0.0501  0.5489
K  0.5000  0.5000  0.0000
K  0.5012  0.4967  0.4511
K  0.5455  0.9967  0.9955
Zn  0.2458  0.5974  0.6460
Zn  0.4514  0.0974  0.3516
Zn  0.4513  0.8064  0.3539
Zn  0.4525  0.0974  0.6461
Zn  0.7458  0.0998  0.6484
Zn  0.9513  0.5974  0.6449
Zn  0.9514  0.5998  0.3540
Zn  0.9525  0.3064  0.3551
As  0.2743  0.2742  0.5004
As  0.2738  0.7742  0.9999
As  0.2752  0.7752  0.5000
As  0.7743  0.2739  0.0001
As  0.7738  0.7739  0.4996
As  0.7752  0.2752  0.5000
O  0.0247  0.8664  0.1862
O  0.0259  0.5259  0.5000
O  0.1011  0.6481  0.8763
O  0.1010  0.7779  0.4520
O  0.1031  0.2289  0.3252
O  0.1656  0.3547  0.1405
O  0.1802  0.3664  0.8417
O  0.2142  0.0251  0.8595
O  0.2677  0.9474  0.1239
O  0.2718  0.1481  0.5469
O  0.2738  0.7226  0.3235
O  0.3199  0.7784  0.8748
O  0.3235  0.4474  0.6797
O  0.3260  0.6490  0.5480
O  0.3991  0.9502  0.6765
O  0.4036  0.2784  0.4585
O  0.4037  0.7289  0.1258
O  0.5247  0.3385  0.1583
O  0.5259  0.0259  0.5000
O  0.6010  0.1490  0.3230
O  0.6011  0.7249  0.4531
O  0.6031  0.2779  0.8742
O  0.6656  0.5251  0.8109
O  0.6802  0.8385  0.8138
O  0.7142  0.8547  0.1891
O  0.7677  0.6438  0.3203
O  0.7718  0.2249  0.1237
O  0.7738  0.4502  0.5512
O  0.8199  0.9451  0.5415
O  0.8235  0.1438  0.8761
O  0.8260  0.2779  0.6770
O  0.8991  0.2226  0.4488
O  0.9036  0.4451  0.1252
O  0.9037  0.7779  0.6748

Calculated formation energy (kcal/mol of atoms): -31.1
Total energy (eV/cell): -262.4
Calculated volume (A^3/atom): 17.79